# NbI5 r2SCAN optimized geometry
# DFT formation energy = -12.39 kcal/mol of atoms
# calculated total energy = -25.125 eV per atom
# ΔE to the lowest computed polymorph = 0 meV per atom
data_NbI5
_chemical_formula_sum 'Nb2 I10'
_cell_length_a 7.253
_cell_length_b 7.822
_cell_length_c 10.594
_cell_angle_alpha 109.30
_cell_angle_beta 91.20
_cell_angle_gamma 116.00
_space_group_name_H-M_alt 'P -1'
_space_group_IT_number 2
loop_
_space_group_symop_operation_xyz
'x,y,z'
'-x,-y,-z'
loop_
_atom_site_label
_atom_site_fract_x
_atom_site_fract_y
_atom_site_fract_z
Nb1 0.104 0.221 0.223
I1 0.074 0.815 0.564
I2 0.124 0.616 0.848
I3 0.238 0.184 0.956
I4 0.312 0.011 0.251
I5 0.449 0.582 0.332